Material: ZrCuSi
Method: DFT, PBE-GGA
State: optimized geometry

Geometry as POSCAR:
```
ZrCuSi
1.0
3.942 0.000 0.000
0.000 6.543 0.000
0.000 0.000 7.316
Cu Zr Si
4 4 4
Direct
0.250 0.670 0.076 Cu
0.250 0.170 0.424 Cu
0.750 0.330 0.924 Cu
0.750 0.830 0.576 Cu
0.750 0.490 0.307 Zr
0.750 0.990 0.193 Zr
0.250 0.510 0.693 Zr
0.250 0.010 0.807 Zr
0.750 0.220 0.601 Si
0.750 0.720 0.899 Si
0.250 0.780 0.399 Si
0.250 0.280 0.101 Si
```

Results
crystal system: orthorhombic
volume: 15.726 Å³/atom
energy relative to the elements: -0.6446 eV/atom
total DFT energy (no corrections): -80.308 eV/cell